No. 1
This record from the Materials Project database describes an optimized crystal structure of Sr18La2MgRu9O40. The functional is PBE.

a = 5.598 Å, b = 5.594 Å, c = 63.483 Å
α = 90.00°, β = 90.12°, γ = 90.00°
Space group C2/m (No. 12)
Unique sites:
Sr: 0.001 0.000 0.329 [4 per cell]
Sr: 0.001 0.500 0.371 [4 per cell]
Sr: 0.002 0.000 0.129 [4 per cell]
Sr: 0.002 0.000 0.729 [4 per cell]
Sr: 0.002 0.000 0.929 [4 per cell]
Sr: 0.002 0.500 0.029 [4 per cell]
Sr: 0.002 0.500 0.229 [4 per cell]
Sr: 0.003 0.500 0.829 [4 per cell]
Sr: 0.005 0.500 0.429 [4 per cell]
La: 0.033 0.000 0.473 [4 per cell]
Mg: 0.000 0.500 0.500 [2 per cell]
Ru: 0.000 0.000 0.000 [2 per cell]
Ru: 0.000 0.000 0.200 [4 per cell]
Ru: 0.000 0.000 0.400 [4 per cell]
Ru: 0.000 0.500 0.100 [4 per cell]
Ru: 0.001 0.500 0.700 [4 per cell]
O: 0.000 0.000 0.433 [4 per cell]
O: 0.000 0.500 0.067 [4 per cell]
O: 0.000 0.500 0.132 [4 per cell]
O: 0.000 0.500 0.267 [4 per cell]
O: 0.001 0.000 0.167 [4 per cell]
O: 0.001 0.000 0.968 [4 per cell]
O: 0.001 0.500 0.668 [4 per cell]
O: 0.002 0.000 0.632 [4 per cell]
O: 0.002 0.000 0.768 [4 per cell]
O: 0.038 0.500 0.534 [4 per cell]
O: 0.248 0.251 0.400 [8 per cell]
O: 0.249 0.250 0.300 [8 per cell]
O: 0.250 0.250 0.000 [4 per cell]
O: 0.250 0.250 0.100 [8 per cell]
O: 0.250 0.250 0.200 [8 per cell]
O: 0.250 0.250 0.500 [4 per cell]

Output
calculated formation energy: -2.57 eV per atom

=====

No. 2
This record from the Materials Project database describes an optimized crystal structure of Si5Pt6. The functional is PBE.

a = 6.245 Å, b = 3.540 Å, c = 15.606 Å
α = 90.00°, β = 93.52°, γ = 90.00°
Space group P2_1/m (No. 11)
Unique sites:
Si: 0.054 0.250 0.381 [2 per cell]
Si: 0.223 0.750 0.927 [2 per cell]
Si: 0.231 0.750 0.165 [2 per cell]
Si: 0.313 0.250 0.780 [2 per cell]
Si: 0.435 0.250 0.565 [2 per cell]
Pt: 0.009 0.750 0.781 [2 per cell]
Pt: 0.148 0.250 0.052 [2 per cell]
Pt: 0.198 0.750 0.499 [2 per cell]
Pt: 0.280 0.750 0.322 [2 per cell]
Pt: 0.343 0.750 0.674 [2 per cell]
Pt: 0.472 0.250 0.923 [2 per cell]

Output
calculated formation energy: -0.68 eV per atom

=====

No. 3
This record from the Materials Project database describes an optimized crystal structure of InCuO2. The functional is PBE.

a = 3.3650 Å, b = 3.3650 Å, c = 17.4981 Å
α = 90.00°, β = 90.00°, γ = 120.00°
Space group R-3m (No. 166, hexagonal axes)
Unique sites:
In: 0.0000 0.0000 0.0000 [3 per cell]
Cu: 0.0000 0.0000 0.5000 [3 per cell]
O: 0.0000 0.0000 0.3941 [6 per cell]

Output
calculated formation energy: -1.48 eV per atom

=====

No. 4
This record from the Materials Project database describes an optimized crystal structure of ErZn3P3. The functional is PBE.

a = 3.9932 Å, b = 3.9932 Å, c = 19.8368 Å
α = 90.00°, β = 90.00°, γ = 120.00°
Space group P6_3/mmc (No. 194)
Unique sites:
Er: 0.0000 0.0000 0.0000 [2 per cell]
Zn: 0.3333 0.6667 0.1283 [4 per cell]
Zn: 0.3333 0.6667 0.7500 [2 per cell]
P: 0.3333 0.6667 0.2500 [2 per cell]
P: 0.3333 0.6667 0.5827 [4 per cell]

Output
calculated formation energy: -0.60 eV per atom

=====

No. 5
This record from the Materials Project database describes an optimized crystal structure of CaH16O10. The functional is PBE.

a = 6.060 Å, b = 6.368 Å, c = 11.325 Å
α = 87.79°, β = 89.75°, γ = 88.59°
Space group P1 (No. 1)
Unique sites:
Ca: 0.000 0.000 0.000 [1 per cell]
Ca: 0.008 0.999 0.485 [1 per cell]
H: 0.023 0.572 0.611 [1 per cell]
H: 0.080 0.646 0.289 [1 per cell]
H: 0.090 0.369 0.803 [1 per cell]
H: 0.167 0.255 0.202 [1 per cell]
H: 0.268 0.118 0.692 [1 per cell]
H: 0.273 0.622 0.590 [1 per cell]
H: 0.285 0.372 0.093 [1 per cell]
H: 0.286 0.833 0.205 [1 per cell]
H: 0.297 0.634 0.375 [1 per cell]
H: 0.306 0.375 0.884 [1 per cell]
H: 0.375 0.258 0.584 [1 per cell]
H: 0.375 0.296 0.378 [1 per cell]
H: 0.384 0.714 0.889 [1 per cell]
H: 0.388 0.726 0.091 [1 per cell]
H: 0.415 0.957 0.874 [1 per cell]
H: 0.432 0.063 0.345 [1 per cell]
H: 0.552 0.029 0.117 [1 per cell]
H: 0.562 0.963 0.625 [1 per cell]
H: 0.627 0.721 0.394 [1 per cell]
H: 0.628 0.276 0.881 [1 per cell]
H: 0.633 0.262 0.101 [1 per cell]
H: 0.692 0.092 0.785 [1 per cell]
H: 0.707 0.408 0.590 [1 per cell]
H: 0.716 0.374 0.384 [1 per cell]
H: 0.734 0.613 0.088 [1 per cell]
H: 0.737 0.852 0.287 [1 per cell]
H: 0.744 0.617 0.874 [1 per cell]
H: 0.747 0.829 0.702 [1 per cell]
H: 0.847 0.276 0.689 [1 per cell]
H: 0.962 0.418 0.400 [1 per cell]
H: 0.979 0.542 0.111 [1 per cell]
H: 0.991 0.670 0.822 [1 per cell]
O: 0.124 0.693 0.603 [1 per cell]
O: 0.140 0.306 0.120 [1 per cell]
O: 0.174 0.732 0.337 [1 per cell]
O: 0.176 0.283 0.860 [1 per cell]
O: 0.300 0.852 0.873 [1 per cell]
O: 0.305 0.161 0.352 [1 per cell]
O: 0.310 0.111 0.609 [1 per cell]
O: 0.327 0.865 0.121 [1 per cell]
O: 0.482 0.466 0.553 [1 per cell]
O: 0.491 0.501 0.422 [1 per cell]
O: 0.506 0.499 0.053 [1 per cell]
O: 0.515 0.495 0.921 [1 per cell]
O: 0.688 0.114 0.119 [1 per cell]
O: 0.696 0.861 0.371 [1 per cell]
O: 0.702 0.133 0.867 [1 per cell]
O: 0.723 0.943 0.641 [1 per cell]
O: 0.845 0.728 0.839 [1 per cell]
O: 0.868 0.312 0.368 [1 per cell]
O: 0.870 0.361 0.616 [1 per cell]
O: 0.884 0.672 0.108 [1 per cell]

Output
energy relative to the lowest polymorph listed for this composition: 0.047 eV/atom
calculated formation energy: -1.35 eV per atom

=====

No. 6
This record from the Materials Project database describes an optimized crystal structure of In23Se28. The functional is PBE.

a = 19.209 Å, b = 8.247 Å, c = 18.695 Å
α = 90.00°, β = 108.83°, γ = 90.00°
Space group Cm (No. 8)
Unique sites:
In: 0.000 0.000 0.000 [2 per cell]
In: 0.000 0.500 0.000 [2 per cell]
In: 0.084 0.250 0.207 [4 per cell]
In: 0.106 0.000 0.414 [2 per cell]
In: 0.108 0.500 0.413 [2 per cell]
In: 0.136 0.000 0.647 [2 per cell]
In: 0.136 0.500 0.648 [2 per cell]
In: 0.195 0.250 0.878 [4 per cell]
In: 0.223 0.000 0.135 [2 per cell]
In: 0.223 0.500 0.137 [2 per cell]
In: 0.264 0.000 0.479 [2 per cell]
In: 0.264 0.500 0.479 [2 per cell]
In: 0.319 0.250 0.724 [4 per cell]
In: 0.363 0.249 0.071 [4 per cell]
In: 0.388 0.000 0.328 [2 per cell]
In: 0.444 0.250 0.556 [4 per cell]
In: 0.475 0.250 0.790 [4 per cell]
Se: 0.023 0.500 0.510 [2 per cell]
Se: 0.024 0.000 0.512 [2 per cell]
Se: 0.033 0.251 0.330 [4 per cell]
Se: 0.049 0.000 0.875 [2 per cell]
Se: 0.050 0.500 0.875 [2 per cell]
Se: 0.059 0.250 0.695 [4 per cell]
Se: 0.109 0.250 0.070 [4 per cell]
Se: 0.178 0.000 0.259 [2 per cell]
Se: 0.178 0.500 0.259 [2 per cell]
Se: 0.206 0.251 0.596 [4 per cell]
Se: 0.255 0.000 0.780 [2 per cell]
Se: 0.256 0.500 0.781 [2 per cell]
Se: 0.259 0.000 0.006 [2 per cell]
Se: 0.260 0.500 0.009 [2 per cell]
Se: 0.321 0.248 0.194 [4 per cell]
Se: 0.326 0.248 0.425 [4 per cell]
Se: 0.376 0.000 0.612 [2 per cell]
Se: 0.376 0.500 0.610 [2 per cell]
Se: 0.404 0.250 0.945 [4 per cell]
Se: 0.472 0.000 0.135 [2 per cell]
Se: 0.472 0.500 0.135 [2 per cell]

Output
calculated formation energy: -0.72 eV per atom

=====

No. 7
This record from the Materials Project database describes an optimized crystal structure of Ba8CaY2U4O24. The functional is PBE.

a = 12.389 Å, b = 17.617 Å, c = 12.404 Å
α = 90.00°, β = 90.00°, γ = 90.00°
Space group Cmmm (No. 65)
Unique sites:
Ba: 0.000 0.118 0.233 [8 per cell]
Ba: 0.000 0.381 0.260 [8 per cell]
Ba: 0.234 0.383 0.500 [8 per cell]
Ba: 0.235 0.117 0.000 [8 per cell]
Ca: 0.000 0.000 0.500 [2 per cell]
Ca: 0.000 0.500 0.000 [2 per cell]
Y: 0.250 0.250 0.250 [8 per cell]
U: 0.000 0.247 0.500 [4 per cell]
U: 0.000 0.253 0.000 [4 per cell]
U: 0.250 0.000 0.249 [8 per cell]
O: 0.000 0.132 0.500 [4 per cell]
O: 0.000 0.139 0.000 [4 per cell]
O: 0.000 0.361 0.500 [4 per cell]
O: 0.000 0.369 0.000 [4 per cell]
O: 0.121 0.249 0.121 [16 per cell]
O: 0.122 0.252 0.378 [16 per cell]
O: 0.132 0.000 0.369 [8 per cell]
O: 0.132 0.500 0.129 [8 per cell]
O: 0.133 0.000 0.135 [8 per cell]
O: 0.134 0.500 0.362 [8 per cell]
O: 0.249 0.123 0.246 [16 per cell]

Output
energy relative to the lowest polymorph listed for this composition: 0.000 eV/atom
calculated formation energy: -3.57 eV per atom

=====

No. 8
This record from the Materials Project database describes an optimized crystal structure of Y2Cr2C3. The functional is PBE.

a = 10.460 Å, b = 3.384 Å, c = 5.580 Å
α = 90.00°, β = 105.77°, γ = 90.00°
Space group C2/m (No. 12)
Unique sites:
Y: 0.106 0.000 0.318 [4 per cell]
Cr: 0.157 0.500 0.891 [4 per cell]
C: 0.000 0.500 0.000 [2 per cell]
C: 0.214 0.000 0.772 [4 per cell]

Output
calculated formation energy: -0.30 eV per atom

=====

No. 9
This record from the Materials Project database describes an optimized crystal structure of Li3Ti4O8. The functional is PBE.

a = 5.126 Å, b = 2.946 Å, c = 9.932 Å
α = 90.00°, β = 92.44°, γ = 90.00°
Space group Pm (No. 6)
Unique sites:
Li: 0.000 0.000 0.000 [1 per cell]
Li: 0.160 0.500 0.818 [1 per cell]
Li: 0.644 0.000 0.447 [1 per cell]
Ti: 0.034 0.000 0.270 [1 per cell]
Ti: 0.121 0.500 0.538 [1 per cell]
Ti: 0.514 0.500 0.048 [1 per cell]
Ti: 0.634 0.000 0.766 [1 per cell]
O: 0.209 0.500 0.159 [1 per cell]
O: 0.283 0.000 0.430 [1 per cell]
O: 0.351 0.000 0.920 [1 per cell]
O: 0.414 0.500 0.677 [1 per cell]
O: 0.729 0.000 0.132 [1 per cell]
O: 0.806 0.500 0.888 [1 per cell]
O: 0.854 0.500 0.378 [1 per cell]
O: 0.912 0.000 0.632 [1 per cell]

Output
energy relative to the lowest polymorph listed for this composition: 0.016 eV/atom
calculated formation energy: -3.04 eV per atom

=====

No. 10
This record from the Materials Project database describes an optimized crystal structure of NaSb3O8. The functional is PBE.

a = 7.184 Å, b = 10.396 Å, c = 7.486 Å
α = 90.00°, β = 90.00°, γ = 90.00°
Space group Ibam (No. 72)
Unique sites:
Na: 0.000 0.000 0.250 [4 per cell]
Sb: 0.000 0.500 0.250 [4 per cell]
Sb: 0.239 0.253 0.000 [8 per cell]
O: 0.012 0.164 0.500 [8 per cell]
O: 0.116 0.423 0.000 [8 per cell]
O: 0.202 0.363 0.295 [16 per cell]

Output
energy relative to the lowest polymorph listed for this composition: 0.071 eV/atom
calculated formation energy: -1.82 eV per atom

=====

No. 11
This record from the Materials Project database describes an optimized crystal structure of LaSi2Pt. The functional is PBE.

a = 4.379 Å, b = 16.932 Å, c = 4.287 Å
α = 90.00°, β = 90.00°, γ = 90.00°
Space group Cmcm (No. 63)
Unique sites:
La: 0.000 0.106 0.250 [4 per cell]
Si: 0.000 0.249 0.750 [4 per cell]
Si: 0.000 0.464 0.250 [4 per cell]
Pt: 0.000 0.320 0.250 [4 per cell]

Output
calculated formation energy: -1.04 eV per atom

=====

No. 12
This record from the Materials Project database describes an optimized crystal structure of LiBBr2. The functional is PBE.

a = 7.194 Å, b = 7.194 Å, c = 7.194 Å
α = 90.00°, β = 90.00°, γ = 90.00°
Space group F-43m (No. 216)
Unique sites:
Li: 0.000 0.000 0.000 [4 per cell]
B: 0.250 0.250 0.250 [4 per cell]
Br: 0.000 0.000 0.500 [4 per cell]
Br: 0.250 0.250 0.750 [4 per cell]

Output
calculated formation energy: 0.45 eV per atom